The following is a DFT calculation (PBE) of a geometry-optimized ScMn3N3 structure. Values from VASP.

- Space-group type: No. 11
- Calculated density: 4.679 Mg/m³
- Corrected total energy (MP2020 scheme): -126.330 eV/cell
- E_form: -620 meV/atom
- Total moment: 13.3 μB per cell

Cell and atoms, written as Quantum ESPRESSO input:
```
&SYSTEM
  ibrav = 0, nat = 14, ntyp = 3
/
ATOMIC_SPECIES
Sc 44.96 Sc.upf
Mn 54.94 Mn.upf
N 14.01 N.upf
ATOMIC_POSITIONS crystal
Sc 0.669 0.330 0.750
Sc 0.331 0.670 0.250
Mn 0.864 0.732 0.250
Mn 0.869 0.132 0.250
Mn 0.267 0.135 0.250
Mn 0.136 0.268 0.750
Mn 0.131 0.868 0.750
Mn 0.733 0.865 0.750
N 0.826 0.657 0.750
N 0.832 0.170 0.750
N 0.343 0.173 0.750
N 0.174 0.343 0.250
N 0.168 0.830 0.250
N 0.657 0.827 0.250
CELL_PARAMETERS angstrom
-3.186 -2.118 -6.348
1.099 -4.860 5.475
-3.404 0.839 1.428
```